Record 1
100
Lattice="12.898 0.000 0.000 -0.306 13.606 0.000 -1.528 -1.847 14.159" Properties=species:S:1:pos:R:3 comment="ZnS (PBE, relaxed)" corrected_energy_ev_per_atom=-3.335 dft_energy_ev_per_atom=-3.08 space_group=P1 delta_e_f_ev_per_atom=-0.637 pbc="T T T"
Zn 0.000 0.000 0.000
Zn -1.489 4.214 13.010
Zn -0.381 6.821 2.611
Zn -0.682 8.612 5.908
Zn -1.238 11.405 11.779
Zn -0.132 11.108 2.898
Zn -1.160 7.466 13.356
Zn -0.033 1.924 9.540
Zn 0.911 3.935 1.361
Zn -0.194 1.587 12.080
Zn 0.327 5.500 7.116
Zn 0.505 8.685 9.947
Zn 1.187 3.534 10.919
Zn 3.261 0.662 0.523
Zn 2.915 6.363 3.960
Zn 3.473 9.744 1.404
Zn 3.306 0.906 5.272
Zn 3.181 11.028 4.729
Zn 2.857 8.377 8.401
Zn 2.711 9.464 10.798
Zn 3.543 4.763 6.471
Zn 4.080 2.876 3.889
Zn 3.325 11.264 13.843
Zn 3.997 12.224 8.182
Zn 4.389 5.669 10.248
Zn 4.510 2.309 9.930
Zn 5.849 1.201 4.659
Zn 5.843 9.953 3.047
Zn 5.771 12.487 4.955
Zn 5.799 9.319 10.803
Zn 6.923 4.595 3.316
Zn 7.087 7.500 1.339
Zn 6.509 6.449 8.289
Zn 6.960 1.406 8.846
Zn 7.099 10.110 7.127
Zn 7.510 4.349 7.225
Zn 7.684 4.727 9.723
Zn 8.755 2.507 4.191
Zn 8.193 -0.894 10.265
Zn 8.570 1.378 10.988
Zn 9.684 6.057 3.678
Zn 9.940 12.970 1.446
Zn 10.340 9.097 0.006
Zn 9.301 9.974 9.501
Zn 9.475 6.403 10.139
Zn 10.198 3.959 9.597
Zn 9.745 10.070 12.668
Zn 10.883 1.917 6.894
Zn 11.000 11.807 7.938
Zn 12.051 2.071 3.225
S -0.861 3.776 8.013
S -1.206 10.370 9.780
S -0.539 10.903 6.315
S -0.429 5.286 11.068
S 0.576 7.726 7.726
S 0.325 -0.562 12.740
S 1.329 12.412 1.339
S 1.342 1.084 3.562
S 1.291 9.482 4.208
S 0.410 3.090 13.815
S 0.550 7.009 11.718
S 0.416 9.042 14.155
S 1.578 4.985 5.293
S 1.831 8.037 2.797
S 2.426 2.260 2.198
S 2.607 12.513 6.401
S 4.166 11.578 2.702
S 3.401 3.880 11.214
S 3.956 2.646 7.432
S 4.104 6.420 8.011
S 4.784 5.083 4.293
S 5.003 8.051 1.981
S 4.163 9.609 12.501
S 4.607 10.015 8.730
S 5.206 0.053 9.696
S 5.621 10.197 5.370
S 5.945 2.425 6.856
S 6.906 2.269 2.876
S 6.252 6.963 10.693
S 6.726 2.971 10.810
S 7.714 12.487 1.605
S 8.039 9.357 0.271
S 7.989 10.521 2.059
S 8.304 5.709 1.808
S 7.905 7.936 7.079
S 8.537 4.663 5.131
S 7.803 10.534 11.224
S 8.541 11.705 7.992
S 8.901 2.528 8.060
S 9.618 8.004 8.279
S 10.516 1.282 4.734
S 9.799 7.773 12.055
S 11.351 1.291 1.064
S 11.170 11.004 1.132
S 11.058 7.821 4.092
S 10.489 2.564 11.578
S 12.117 7.555 0.396
S 12.095 4.463 2.659
S 11.846 12.111 4.704
S 11.769 0.380 8.359

---

Record 2
56
Lattice="3.853 0.000 0.000 -1.927 3.337 0.000 0.000 0.000 88.145" Properties=species:S:1:pos:R:3 comment="ZnS (PBE, relaxed)" corrected_energy_ev_per_atom=-3.760 dft_energy_ev_per_atom=-3.51 space_group=P3m1 delta_e_f_ev_per_atom=-1.062 pbc="T T T"
Zn 0.000 0.000 0.000
Zn 0.000 0.000 6.296
Zn 0.000 0.000 12.592
Zn 0.000 0.000 22.036
Zn 0.000 0.000 31.480
Zn 0.000 0.000 40.924
Zn 0.000 0.000 50.368
Zn 0.000 0.000 59.812
Zn 0.000 0.000 69.256
Zn 0.000 0.000 81.848
Zn 0.000 2.225 3.147
Zn 0.000 2.225 15.740
Zn 0.000 2.225 25.184
Zn 0.000 2.225 34.628
Zn 0.000 2.225 44.072
Zn 0.000 2.225 53.516
Zn 0.000 2.225 62.960
Zn 0.000 2.225 72.404
Zn 0.000 2.225 78.700
Zn 1.927 1.112 9.443
Zn 1.927 1.112 18.887
Zn 1.927 1.112 28.332
Zn 1.927 1.112 37.776
Zn 1.927 1.112 47.220
Zn 1.927 1.112 56.664
Zn 1.927 1.112 66.108
Zn 1.927 1.112 75.552
Zn 1.927 1.112 84.996
S 0.000 0.000 2.359
S 0.000 0.000 8.655
S 0.000 0.000 14.952
S 0.000 0.000 24.396
S 0.000 0.000 33.841
S 0.000 0.000 43.284
S 0.000 0.000 52.729
S 0.000 0.000 62.172
S 0.000 0.000 71.617
S 0.000 0.000 84.207
S 0.000 2.225 5.510
S 0.000 2.225 18.100
S 0.000 2.225 27.544
S 0.000 2.225 36.988
S 0.000 2.225 46.432
S 0.000 2.225 55.877
S 0.000 2.225 65.321
S 0.000 2.225 74.763
S 0.000 2.225 81.061
S 1.927 1.112 11.806
S 1.927 1.112 21.248
S 1.927 1.112 30.692
S 1.927 1.112 40.136
S 1.927 1.112 49.581
S 1.927 1.112 59.024
S 1.927 1.112 68.469
S 1.927 1.112 77.914
S 1.927 1.112 87.358